[1]
A geometry-optimized SbXe2F9 structure, computed with r²SCAN.

a = 8.300 Å, b = 8.300 Å, c = 9.982 Å
α = 55.62°, β = 55.62°, γ = 58.52°
Element x y z (fractional)
F1 0.106 0.515 0.091
F2 0.100 0.781 0.372
Xe1 0.693 0.892 0.757
Xe2 0.338 0.508 0.834
Sb1 0.221 0.969 0.307
F3 0.515 0.106 0.591
F4 0.840 0.689 0.919
F5 0.548 0.472 0.608
F6 0.480 0.767 0.265
F7 0.472 0.548 0.108
F8 0.069 0.262 0.570
F9 0.262 0.069 0.070
F10 0.863 0.180 0.046
Xe3 0.508 0.338 0.334
F11 0.781 0.100 0.872
Sb2 0.969 0.221 0.807
F12 0.958 0.164 0.352
F13 0.164 0.958 0.852
F14 0.350 0.148 0.243
F15 0.689 0.840 0.419
F16 0.148 0.350 0.743
F17 0.767 0.480 0.765
Xe4 0.892 0.693 0.257
F18 0.180 0.863 0.546

## Properties
Formation energy: -1.46 eV per atom
Spin magnetization: 0.00 Bohr magnetons per cell
Crystal system: monoclinic

[2]
A geometry-optimized SbXeF7 structure, computed with r²SCAN.

a = 11.101 Å, b = 5.277 Å, c = 10.866 Å
α = 84.89°, β = 90.00°, γ = 90.00°
Element x y z (fractional)
F1 0.601 0.392 0.253
Sb1 0.009 0.903 0.269
F2 0.448 0.291 0.076
F3 0.613 0.367 0.526
F4 0.552 0.709 0.924
F5 0.073 0.078 0.126
F6 0.399 0.608 0.747
F7 0.052 0.291 0.576
Xe1 0.734 0.532 0.976
F8 0.912 0.174 0.311
F9 0.088 0.826 0.689
F10 0.376 0.233 0.310
F11 0.101 0.608 0.247
Xe2 0.234 0.468 0.524
F12 0.868 0.991 0.627
F13 0.113 0.633 0.974
F14 0.948 0.709 0.424
F15 0.588 0.174 0.811
F16 0.876 0.767 0.190
F17 0.899 0.392 0.753
F18 0.573 0.922 0.374
F19 0.927 0.922 0.874
F20 0.887 0.367 0.026
F21 0.124 0.233 0.810
F22 0.368 0.009 0.873
Sb2 0.991 0.097 0.731
Sb3 0.509 0.097 0.231
F23 0.387 0.633 0.474
Xe3 0.766 0.532 0.476
F24 0.632 0.991 0.127
F25 0.132 0.009 0.373
F26 0.427 0.078 0.626
Xe4 0.266 0.468 0.024
F27 0.412 0.826 0.189
F28 0.624 0.767 0.690
Sb4 0.491 0.903 0.769

## Properties
Formation energy: -1.78 eV per atom
Spin magnetization: 0.00 Bohr magnetons per cell
Crystal system: monoclinic

[3]
A geometry-optimized Sb2XeF14 structure, computed with r²SCAN.

a = 7.891 Å, b = 8.136 Å, c = 9.421 Å
α = 68.00°, β = 88.54°, γ = 66.42°
Element x y z (fractional)
F1 0.289 0.352 0.092
F2 0.319 0.703 0.976
F3 0.350 0.688 0.374
F4 0.711 0.648 0.908
F5 0.075 0.723 0.760
F6 0.660 0.703 0.483
F7 0.659 0.642 0.228
F8 0.887 0.942 0.431
F9 0.346 0.026 0.786
F10 0.650 0.312 0.626
Sb1 0.202 0.870 0.771
F11 0.361 0.027 0.362
F12 0.417 0.728 0.700
Sb2 0.509 0.169 0.710
F13 0.341 0.358 0.772
F14 0.011 0.361 0.918
Sb3 0.798 0.130 0.229
F15 0.991 0.973 0.155
F16 0.681 0.297 0.024
F17 0.654 0.020 0.904
Xe1 0.189 0.455 0.251
F18 0.023 0.609 0.359
F19 0.346 0.980 0.096
Xe2 0.811 0.545 0.749
F20 0.583 0.272 0.300
F21 0.654 0.974 0.214
F22 0.340 0.297 0.517
F23 0.009 0.027 0.845
F24 0.989 0.639 0.082
Sb4 0.491 0.831 0.290
F25 0.639 0.973 0.638
F26 0.113 0.058 0.569
F27 0.925 0.277 0.240
F28 0.977 0.391 0.641

## Properties
Formation energy: -1.83 eV per atom
Spin magnetization: 0.00 Bohr magnetons per cell
Crystal system: triclinic

[4]
A geometry-optimized ScF3 structure, computed with r²SCAN.

a = 5.700 Å, b = 5.700 Å, c = 5.700 Å
α = 60.03°, β = 60.03°, γ = 60.03°
Element x y z (fractional)
F1 0.227 0.273 0.750
F2 0.273 0.750 0.227
Sc1 0.500 0.500 0.500
Sc2 0.000 0.000 0.000
F3 0.250 0.773 0.727
F4 0.750 0.227 0.273
F5 0.727 0.250 0.773
F6 0.773 0.727 0.250

## Properties
Formation energy: -4.22 eV per atom
Spin magnetization: 0.00 Bohr magnetons per cell
Crystal system: trigonal